Compound: Ho2TeO2
Source: the Materials Project
Functional: r2SCAN
Structure: optimized geometry

extended XYZ file:
```
5
Lattice="-1.947 1.947 6.188 1.947 -1.947 6.188 1.947 1.947 -6.188" Properties=species:S:1:pos:R:3 pbc="T T T"
Ho 0.000 0.000 2.021
Ho 0.000 0.000 10.356
Te 0.000 0.000 6.188
O 1.947 0.000 3.094
O 0.000 1.947 3.094
```

Total magnetization   0.00 μB per atom
Space-group type   I4/mmm, No. 139
Total DFT energy (no corrections)   -0.87935 Ha/atom
Energy relative to the elements   -3303 meV/atom